[1]
Here is crystalline LiMnSi2O6 at its relaxed geometry from the Materials Project database. Energies are from PBE+U.

POSCAR file:
```
LiMnSi2O6
1.0
-1.3863 -1.6591 -4.6795
-6.7711 -4.6135 3.6416
-11.1241 14.7889 -1.9478
O Mn Si Li
48 8 16 8
direct
0.9559 0.1497 0.3142
0.6731 0.4814 0.5693
0.1596 0.7735 0.3037
0.1731 0.5186 0.9307
0.2989 0.1503 0.4404
0.4007 0.3061 0.0531
0.6596 0.2265 0.1963
0.9340 0.4970 0.3137
0.9340 0.9970 0.1863
0.4007 0.8061 0.4469
0.5441 0.1497 0.8142
0.4559 0.8503 0.1858
0.7011 0.3497 0.9404
0.0441 0.3503 0.8142
0.9559 0.6497 0.1858
0.0660 0.5030 0.6863
0.2989 0.6503 0.0596
0.5660 0.9970 0.6863
0.1596 0.2735 0.1963
0.5660 0.4970 0.8137
0.0441 0.8503 0.6858
0.5993 0.1939 0.5531
0.5441 0.6497 0.6858
0.2011 0.6503 0.5596
0.4340 0.5030 0.1863
0.6731 0.9814 0.9307
0.2011 0.1503 0.9404
0.3404 0.2735 0.6963
0.8269 0.4814 0.0693
0.8269 0.9814 0.4307
0.9007 0.6939 0.4469
0.0993 0.8061 0.9469
0.4559 0.3503 0.3142
0.6596 0.7265 0.3037
0.8404 0.7265 0.8037
0.4340 0.0030 0.3137
0.3269 0.0186 0.0693
0.7989 0.8497 0.0596
0.8404 0.2265 0.6963
0.1731 0.0186 0.5693
0.9007 0.1939 0.0531
0.0660 0.0030 0.8137
0.7011 0.8497 0.5596
0.0993 0.3061 0.5531
0.5993 0.6939 0.9469
0.3269 0.5186 0.4307
0.3404 0.7735 0.8037
0.7989 0.3497 0.4404
0.6386 0.5019 0.3761
0.8614 0.0019 0.6239
0.6386 0.0019 0.1239
0.1386 0.9981 0.3761
0.8614 0.5019 0.8761
0.1386 0.4981 0.1239
0.3614 0.9981 0.8761
0.3614 0.4981 0.6239
0.0629 0.3431 0.7281
0.7103 0.3382 0.0273
0.2897 0.1618 0.5273
0.9371 0.6569 0.2719
0.7897 0.8382 0.9727
0.7103 0.8382 0.4727
0.9371 0.1569 0.2281
0.2897 0.6618 0.9727
0.4371 0.8431 0.2719
0.4371 0.3431 0.2281
0.0629 0.8431 0.7719
0.7897 0.3382 0.5273
0.2103 0.6618 0.4727
0.2103 0.1618 0.0273
0.5629 0.1569 0.7281
0.5629 0.6569 0.7719
0.3672 0.8393 0.6228
0.8672 0.6607 0.6228
0.6328 0.1607 0.3772
0.1328 0.8393 0.1228
0.3672 0.3393 0.8772
0.1328 0.3393 0.3772
0.6328 0.6607 0.1228
0.8672 0.1607 0.8772
```

Values from the calculation:
The polymorph energy (0 for the lowest one) comes out at 4.2 kJ/mol of atoms. Its formation energy is -266.9 kJ/mol of atoms. As for the space-group type: No. 61.

***

[2]
Here is crystalline Li2MnSi4O11 at its relaxed geometry from the Materials Project database. Energies are from PBE+U.

POSCAR file:
```
Li2MnSi4O11
1.0
-6.1064 1.7939 -3.2900
-4.3288 -3.8159 4.2461
-2.4195 6.0643 5.0849
O Li Si Mn
22 4 8 2
direct
0.6209 0.8512 0.8410
0.1541 0.7202 0.4526
0.7449 0.4666 0.0921
0.9509 0.7633 0.0329
0.8660 0.1340 0.2500
0.2367 0.0491 0.4671
0.1943 0.4105 0.3265
0.5895 0.8057 0.1735
0.2551 0.5334 0.9079
0.4666 0.7449 0.5921
0.5334 0.2551 0.4079
0.2798 0.8459 0.0474
0.7202 0.1541 0.9526
0.8057 0.5895 0.6735
0.7633 0.9509 0.5329
0.3791 0.1488 0.1590
0.8512 0.6209 0.3410
0.4105 0.1943 0.8265
0.1340 0.8660 0.7500
0.0491 0.2367 0.9671
0.1488 0.3791 0.6590
0.8459 0.2798 0.5474
0.9198 0.0802 0.7500
0.6434 0.3566 0.7500
0.0802 0.9198 0.2500
0.3566 0.6434 0.2500
0.1634 0.7467 0.9338
0.7825 0.6626 0.1620
0.8366 0.2533 0.0662
0.2533 0.8366 0.5662
0.2175 0.3374 0.8380
0.7467 0.1634 0.4338
0.6626 0.7825 0.6620
0.3374 0.2175 0.3380
0.0000 0.5000 0.5000
0.5000 0.0000 0.0000
```

Values from the calculation:
The polymorph energy (0 for the lowest one) comes out at 0.8 kJ/mol of atoms. Its formation energy is -272.0 kJ/mol of atoms. As for the space-group type: No. 15.

***

[3]
Here is crystalline Li2Mn3SnO8 at its relaxed geometry from the Materials Project database. Energies are from PBE+U.

POSCAR file:
```
Li2Mn3SnO8
1.0
-5.1865 1.3637 -2.6661
-1.8868 -3.3466 -4.5943
-4.7128 -3.6151 0.7661
O Mn Sn Li
8 3 1 2
direct
0.7491 0.2939 0.7491
0.2503 0.2503 0.2503
0.2556 0.7084 0.2556
0.7491 0.7491 0.2939
0.2556 0.2556 0.7084
0.7460 0.7460 0.7460
0.2939 0.7491 0.7491
0.7084 0.2556 0.2556
0.9855 0.5044 0.5044
0.5044 0.5044 0.9855
0.5044 0.9855 0.5044
0.1125 0.1125 0.1125
0.5037 0.5037 0.5037
0.8816 0.8816 0.8816
```

Values from the calculation:
The polymorph energy (0 for the lowest one) comes out at 9.1 kJ/mol of atoms. Its formation energy is -193.7 kJ/mol of atoms. As for the space-group type: No. 160.

***

[4]
Here is crystalline Li3Mn4SnO8 at its relaxed geometry from the Materials Project database. Energies are from PBE+U.

POSCAR file:
```
Li3Mn4SnO8
1.0
1.8563 -2.7145 -5.2922
-8.9054 -2.6726 -5.1388
0.0637 3.3227 -5.3085
Mn Sn O Li
8 2 16 6
direct
0.2485 0.2509 0.2555
0.4984 0.4985 0.4976
0.9957 0.5023 0.4999
0.7498 0.7483 0.7481
0.5047 0.9977 0.0002
0.4999 0.5024 0.9947
0.0007 0.9996 0.5028
0.0017 0.0012 0.0014
0.9998 0.4994 0.9992
0.5011 0.0004 0.5012
0.3796 0.8807 0.8559
0.1505 0.1260 0.6277
0.8786 0.3768 0.3552
0.1205 0.6178 0.1244
0.6423 0.6232 0.1218
0.1197 0.1142 0.1703
0.6312 0.6165 0.6210
0.8894 0.8914 0.8343
0.3554 0.3732 0.8807
0.8533 0.8771 0.3695
0.8779 0.3819 0.8739
0.6558 0.1100 0.6126
0.1249 0.6196 0.6419
0.3625 0.3781 0.3704
0.3468 0.8902 0.3892
0.6179 0.1223 0.1476
0.2469 0.7509 0.7475
0.7476 0.2534 0.7528
0.2493 0.7475 0.2493
0.7584 0.7355 0.2687
0.7535 0.2491 0.2501
0.2376 0.2639 0.7347
```

Values from the calculation:
Its formation energy is -201.0 kJ/mol of atoms. As for the space-group type: No. 1.

***

[5]
Here is crystalline Li3Mn4SnO8 at its relaxed geometry from the Materials Project database. Energies are from PBE+U.

POSCAR file:
```
Li3Mn4SnO8
1.0
1.8680 -2.7425 -5.2991
-8.9323 -2.6667 -5.1517
0.0505 3.2822 -5.2822
O Li Mn Sn
16 6 8 2
direct
0.1210 0.1148 0.1302
0.1275 0.6261 0.6508
0.3295 0.3880 0.3845
0.1122 0.6098 0.1545
0.6263 0.1179 0.6205
0.8577 0.8800 0.3751
0.8794 0.8852 0.8696
0.3807 0.8758 0.8571
0.6700 0.6121 0.6157
0.8872 0.3902 0.8457
0.8722 0.3739 0.3494
0.3742 0.8822 0.3794
0.1426 0.1200 0.6248
0.6197 0.1242 0.1429
0.3533 0.3781 0.8814
0.6462 0.6219 0.1187
0.7413 0.2495 0.7479
0.2460 0.2538 0.7409
0.2360 0.7635 0.7399
0.7539 0.7461 0.2591
0.7643 0.2365 0.2599
0.2591 0.7505 0.2516
0.0001 0.9999 0.0001
0.4996 0.5001 0.0000
0.5002 0.0001 0.9999
0.9999 0.5000 0.5000
0.0003 0.0000 0.4998
0.7556 0.7513 0.7505
0.2446 0.2489 0.2494
0.4994 0.4999 0.5005
0.5001 0.0000 0.4999
0.9997 0.5000 0.0001
```

Values from the calculation:
Its formation energy is -201.1 kJ/mol of atoms. As for the space-group type: No. 2.

***

[6]
Here is crystalline Li2Mn3SnO8 at its relaxed geometry from the Materials Project database. Energies are from PBE+U.

POSCAR file:
```
Li2Mn3SnO8
1.0
8.3477 0.0000 0.0000
0.0000 8.7090 0.0000
0.0000 0.0000 8.7435
O Mn Sn Li
32 12 4 8
direct
0.8930 0.8908 0.3819
0.1158 0.1052 0.3842
0.1224 0.8790 0.5966
0.6494 0.1295 0.3650
0.6158 0.3948 0.6158
0.8721 0.1531 0.1280
0.3842 0.8948 0.8842
0.1070 0.3908 0.1181
0.6344 0.6352 0.8547
0.1494 0.3705 0.6350
0.6224 0.6210 0.4034
0.6279 0.8469 0.6280
0.3656 0.1352 0.6453
0.3776 0.1210 0.0966
0.3930 0.6092 0.6181
0.4000 0.3842 0.3791
0.3721 0.3469 0.8720
0.9000 0.1158 0.6209
0.1279 0.6531 0.3720
0.1431 0.1317 0.8598
0.3506 0.6295 0.1350
0.6070 0.1092 0.8819
0.1000 0.6158 0.8791
0.1344 0.8648 0.1453
0.8569 0.6317 0.6402
0.8506 0.8705 0.8650
0.8776 0.3790 0.9034
0.8656 0.3648 0.3547
0.6431 0.3683 0.1402
0.8842 0.6052 0.1158
0.6000 0.8842 0.1209
0.3569 0.8683 0.3598
0.3833 0.3728 0.6267
0.6251 0.6215 0.6284
0.3749 0.1215 0.8716
0.6167 0.8728 0.8733
0.1251 0.8785 0.3716
0.3667 0.8760 0.1229
0.8833 0.1272 0.3733
0.6333 0.3760 0.3771
0.8667 0.6240 0.8771
0.1333 0.1240 0.6229
0.1167 0.6272 0.1267
0.8749 0.3785 0.1284
0.3750 0.6247 0.3744
0.1250 0.3753 0.8744
0.6250 0.1247 0.1256
0.8750 0.8753 0.6256
0.5002 0.9963 0.4986
0.2498 0.7489 0.7463
0.7498 0.7511 0.2537
0.4998 0.4963 0.0014
0.2502 0.2511 0.2463
0.7502 0.2489 0.7537
0.0002 0.5037 0.5014
0.9998 0.0037 0.9986
```

Values from the calculation:
The polymorph energy (0 for the lowest one) comes out at 1.8 kJ/mol of atoms. Its formation energy is -201.0 kJ/mol of atoms. As for the space-group type: No. 19.